A plane-wave DFT calculation with GGA-PBE was carried out for NaPd3 after structural relaxation.

Raw total energy ... -4.2142 eV per atom
Energy of formation from the pure elements ... 0.00 eV per atom

Structure (extended XYZ):
```
4
Lattice="-2.0078 2.0078 4.0591 2.0078 -2.0078 4.0591 2.0078 2.0078 -4.0591" Properties=species:S:1:pos:R:3 pbc="T T T"
Na 0.0000 0.0000 0.0000
Pd 2.0078 0.0000 2.0295
Pd 0.0000 0.0000 4.0591
Pd 0.0000 2.0078 2.0295
```